No. 1
Tl2TeO3 | Materials Project | PBE | optimized geometry; total energy after the MP2020 corrections = -5.062 eV/atom; symmetry = Pban (50)
1.0
-3.9703 0.6879 3.6560
-7.5518 -4.5420 -7.3463
3.1597 -15.5296 6.3534
O Te Tl
24 8 16
direct
0.1180 0.1466 0.5970
0.7155 0.3001 0.5632
0.8820 0.3534 0.9030
0.2845 0.8001 0.0632
0.6892 0.3520 0.1969
0.6892 0.6480 0.8031
0.1180 0.6466 0.9030
0.8820 0.6466 0.0970
0.1180 0.8534 0.4030
0.6892 0.8520 0.3031
0.2845 0.6999 0.5632
0.3108 0.1480 0.3031
0.7155 0.8001 0.9368
0.3108 0.6480 0.1969
0.8820 0.8534 0.5970
0.7155 0.1999 0.0632
0.3108 0.3520 0.8031
0.8820 0.1466 0.4030
0.7155 0.6999 0.4368
0.6892 0.1480 0.6969
0.1180 0.3534 0.0970
0.3108 0.8520 0.6969
0.2845 0.1999 0.9368
0.2845 0.3001 0.4368
0.7690 0.3597 0.0888
0.7690 0.1404 0.5888
0.2310 0.6404 0.0888
0.2310 0.8596 0.5888
0.7690 0.6404 0.9112
0.2310 0.1404 0.4112
0.7690 0.8596 0.4112
0.2310 0.3597 0.9112
0.7527 0.1158 0.2491
0.2473 0.8842 0.2491
0.2513 0.8665 0.9206
0.7527 0.6158 0.2509
0.2513 0.6335 0.4206
0.2513 0.1335 0.0794
0.2473 0.1158 0.7509
0.7487 0.6335 0.5794
0.7487 0.3665 0.4206
0.7487 0.1335 0.9206
0.7527 0.3842 0.7491
0.7527 0.8842 0.7509
0.2473 0.6158 0.7491
0.2513 0.3665 0.5794
0.2473 0.3842 0.2509
0.7487 0.8665 0.0794

No. 2
Lu3Ge3Ir2 | Materials Project | PBE | optimized geometry; symmetry = Cmcm (63)
1.0
0.5664 4.1596 -3.6582
-3.9324 -3.8049 1.0315
-6.1704 8.8446 9.1015
Ge Lu Ir
6 6 4
direct
0.8783 0.1217 0.9649
0.1217 0.8783 0.0351
0.8783 0.1217 0.5351
0.1217 0.8783 0.4649
0.8481 0.1519 0.2500
0.1519 0.8481 0.7500
0.4157 0.5843 0.1103
0.5843 0.4157 0.6103
0.8569 0.1431 0.7500
0.4157 0.5843 0.3897
0.5843 0.4157 0.8897
0.1431 0.8569 0.2500
0.7002 0.2998 0.3968
0.2998 0.7002 0.6032
0.2998 0.7002 0.8968
0.7002 0.2998 0.1032

No. 3
Na4TaIn3P6O24 | Materials Project | PBE | optimized geometry; total energy after the MP2020 corrections = -7.289 eV/atom; symmetry = P1 (1)
1.0
8.9840 0.0019 -0.0062
-4.4903 7.7723 0.0047
-0.0161 0.0046 22.8213
Ta O Na P In
3 72 12 18 9
direct
0.6665 0.3313 0.9774
0.6669 0.3316 0.4800
0.3322 0.6662 0.8140
0.2002 0.1681 0.0818
0.5231 0.6861 0.2553
0.8148 0.9943 0.4127
0.6875 0.5250 0.5286
0.6731 0.1516 0.7470
0.4770 0.1608 0.2447
0.1391 0.6895 0.4733
0.8364 0.7976 0.5847
0.6826 0.5217 0.2447
0.4791 0.3276 0.7464
0.1693 0.6882 0.7616
0.8875 0.5293 0.1412
0.5294 0.9023 0.3591
0.3448 0.8569 0.5770
0.9768 0.1708 0.5845
0.2101 0.1854 0.8032
0.6363 0.4948 0.9251
0.1828 0.9896 0.9095
0.5093 0.8573 0.0768
0.3618 0.8664 0.8635
0.6404 0.1095 0.1406
0.1445 0.4491 0.9727
0.5032 0.6378 0.5761
0.2175 0.0368 0.3040
0.1629 0.4781 0.2562
0.8484 0.5213 0.7461
0.8412 0.3142 0.5280
0.3144 0.8369 0.2560
0.3656 0.4993 0.0759
0.0405 0.8074 0.6921
0.4812 0.3181 0.0291
0.7788 0.8130 0.1919
0.1934 0.2342 0.6922
0.0069 0.8207 0.4135
0.4815 0.1208 0.6380
0.1807 0.9620 0.1951
0.8303 0.0250 0.0821
0.1385 0.4942 0.5758
0.1793 0.1866 0.4137
0.5049 0.1410 0.9245
0.6813 0.1604 0.0296
0.8116 0.0260 0.8058
0.8358 0.5191 0.0302
0.1985 0.0335 0.5840
0.3126 0.4818 0.7619
0.4764 0.3648 0.1396
0.3722 0.4739 0.3614
0.8219 0.7868 0.3019
0.1384 0.6457 0.0775
0.5178 0.8307 0.7627
0.5520 0.6915 0.9755
0.6332 0.5118 0.6371
0.9585 0.7965 0.0825
0.3094 0.4498 0.4733
0.6480 0.1492 0.4267
0.1020 0.6284 0.3614
0.8501 0.4982 0.4268
0.5016 0.6381 0.8656
0.0109 0.1935 0.9097
0.0377 0.2192 0.1952
0.9751 0.7895 0.8033
0.5015 0.3519 0.4273
0.8592 0.3638 0.9250
0.4744 0.1597 0.5288
0.9639 0.1807 0.3041
0.8056 0.8174 0.9106
0.8394 0.3167 0.2450
0.3066 0.8571 0.9727
0.8811 0.3686 0.6365
0.5489 0.8555 0.4698
0.7665 0.9554 0.6954
0.1328 0.4960 0.8637
0.3632 0.3637 0.2506
0.6647 0.7021 0.0811
0.2986 0.3334 0.5857
0.0099 0.0091 0.9962
0.0000 0.6367 0.2500
0.6668 0.3333 0.8273
0.6359 0.9997 0.2507
0.9902 0.9991 0.4973
0.6665 0.3330 0.3347
0.0363 0.6999 0.5856
0.3229 0.6662 0.1621
0.3459 0.6783 0.6672
0.7049 0.7054 0.2487
0.0015 0.7041 0.7504
0.3759 0.0412 0.5834
0.3748 0.3333 0.0816
0.6663 0.6236 0.5830
0.3329 0.9590 0.9170
0.7022 0.9981 0.7521
0.2962 0.2977 0.7506
0.6254 0.6665 0.9184
0.0011 0.2953 0.2501
0.6659 0.0395 0.0822
0.9600 0.6244 0.0827
0.2940 0.9990 0.2500
0.6340 0.9678 0.4166
0.0410 0.3738 0.9172
0.0323 0.6655 0.4182
0.9573 0.3319 0.5827
0.3344 0.3670 0.4184
0.9994 0.9996 0.8506
0.3394 0.6726 0.5146
0.0072 0.0065 0.1448
0.0010 0.0005 0.3532
0.6665 0.3306 0.1800
0.6668 0.3308 0.6876
0.3340 0.6674 0.3226
0.3271 0.6662 0.0157
0.9920 0.9993 0.6530

No. 4
CoSi | Materials Project | PBE | optimized geometry; total energy after the MP2020 corrections = -6.646 eV/atom; symmetry = Pm-3m (221)
1.0
-0.4297 1.3329 -2.4030
-0.9227 -2.3610 -1.1446
-2.5884 0.6203 0.8070
Co Si
1 1
direct
0.0000 0.0000 0.0000
0.5000 0.5000 0.5000

No. 5
AlBW | Materials Project | PBE | optimized geometry; symmetry = Cmcm (63)
1.0
0.0000 0.0000 3.1266
3.2296 0.0000 0.0000
1.6148 6.9822 0.0000
B W Al
2 2 2
direct
0.2500 0.5342 0.9317
0.7500 0.4658 0.0683
0.7500 0.0904 0.8192
0.2500 0.9096 0.1808
0.7500 0.2999 0.4002
0.2500 0.7001 0.5998

No. 6
Bi4O9 | Materials Project | PBE | optimized geometry; total energy after the MP2020 corrections = -5.751 eV/atom; symmetry = P4/n (85)
1.0
10.4464 0.0000 0.0000
0.0000 10.4464 0.0000
0.0000 0.0000 4.1376
O Bi
18 8
direct
0.6197 0.7748 0.4752
0.0000 0.0000 0.5000
0.8803 0.7252 0.5248
0.7655 0.9468 0.9564
0.2345 0.0532 0.9564
0.7252 0.1197 0.4752
0.9468 0.2345 0.0436
0.2748 0.8803 0.4752
0.7345 0.5532 0.0436
0.5532 0.2655 0.9564
0.3803 0.2252 0.4752
0.4468 0.7345 0.9564
0.5000 0.5000 0.5000
0.1197 0.2748 0.5248
0.2252 0.6197 0.5248
0.2655 0.4468 0.0436
0.7748 0.3803 0.5248
0.0532 0.7655 0.0436
0.7830 0.9119 0.4529
0.4119 0.7170 0.4529
0.5881 0.2830 0.4529
0.2170 0.0881 0.4529
0.9119 0.2170 0.5471
0.2830 0.4119 0.5471
0.0881 0.7830 0.5471
0.7170 0.5881 0.5471

No. 7
NaHfGeP3O12 | Materials Project | PBE | optimized geometry; total energy after the MP2020 corrections = -7.933 eV/atom; symmetry = P3 (143)
1.0
-3.3038 -4.2460 6.7306
8.5054 -0.0594 -1.3779
2.1705 18.2977 12.6086
O P Ge Hf Na
72 18 6 6 6
direct
0.8725 0.3725 0.6370
0.3192 0.4711 0.7467
0.1956 0.0132 0.3093
0.1887 0.0248 0.5875
0.6179 0.1403 0.4268
0.3330 0.4804 0.0823
0.7915 0.8361 0.1959
0.3112 0.4741 0.4778
0.6513 0.1313 0.1427
0.8597 0.4777 0.4268
0.5259 0.8371 0.4778
0.8539 0.3217 0.2477
0.7931 0.9776 0.4155
0.6275 0.5000 0.6370
0.4800 0.3487 0.1427
0.0446 0.2085 0.1959
0.2882 0.8082 0.2597
0.4678 0.1461 0.2477
0.5029 0.1436 0.9196
0.1795 0.1446 0.0948
0.4799 0.2943 0.7343
0.1845 0.2069 0.4155
0.8026 0.9750 0.6850
0.9752 0.1639 0.5875
0.5289 0.8481 0.7467
0.3163 0.8508 0.9720
0.6783 0.5322 0.2477
0.4493 0.2971 0.0307
0.9612 0.7874 0.7978
0.0250 0.8276 0.6850
0.0224 0.8155 0.4155
0.5223 0.3821 0.4268
0.3582 0.8557 0.5757
0.8361 0.8113 0.5875
0.7072 0.5396 0.5255
0.7057 0.1855 0.7343
0.8554 0.0349 0.0948
0.1918 0.4799 0.2597
0.1327 0.4844 0.8578
0.7029 0.1523 0.0307
0.5345 0.6837 0.9720
0.0234 0.1904 0.9100
0.9868 0.1824 0.3093
0.5000 0.1275 0.6370
0.5196 0.8526 0.0823
0.3810 0.5091 0.3633
0.8477 0.5507 0.0307
0.8687 0.5200 0.1427
0.4604 0.1676 0.5255
0.1629 0.6888 0.4778
0.8262 0.0388 0.7978
0.6407 0.4971 0.9196
0.1519 0.6808 0.7467
0.9651 0.8205 0.0948
0.3517 0.8673 0.8578
0.8096 0.8330 0.9100
0.4909 0.8719 0.3633
0.1443 0.5025 0.5757
0.1639 0.9554 0.1959
0.8176 0.8044 0.3093
0.4975 0.6418 0.5757
0.8564 0.3593 0.9196
0.1670 0.9766 0.9100
0.2126 0.1738 0.7978
0.8324 0.2928 0.5255
0.8145 0.5201 0.7343
0.5156 0.6483 0.8578
0.1474 0.6670 0.0823
0.1281 0.6190 0.3633
0.5201 0.7118 0.2597
0.1492 0.4655 0.9720
0.1724 0.1974 0.6850
0.6820 0.0431 0.0881
0.2775 0.9820 0.2533
0.7180 0.0129 0.7401
0.2949 0.2820 0.7401
0.6032 0.9531 0.4212
0.7046 0.7225 0.2533
0.0422 0.3768 0.9148
0.3610 0.3180 0.0881
0.9871 0.7051 0.7401
0.3499 0.3968 0.4212
0.9538 0.3329 0.5813
0.0469 0.6501 0.4212
0.9569 0.6390 0.0881
0.0180 0.2954 0.2533
0.3346 0.9578 0.9148
0.6232 0.6654 0.9148
0.3791 0.0462 0.5813
0.6671 0.6209 0.5813
0.0000 0.0000 0.1519
0.0000 0.0000 0.6418
0.3333 0.6667 0.3168
0.6667 0.3333 0.6801
0.6667 0.3333 0.4819
0.3333 0.6667 0.5225
0.3333 0.6667 0.0236
0.3333 0.6667 0.8054
0.6667 0.3333 0.1930
0.0000 0.0000 0.8492
0.6667 0.3333 0.9819
0.0000 0.0000 0.3621
0.0000 0.0000 0.0022
0.6667 0.3333 0.3386
0.6667 0.3333 0.8294
0.0000 0.0000 0.5042
0.3333 0.6667 0.6613
0.3333 0.6667 0.1707

No. 8
RbCuP3O9 | Materials Project | PBE | optimized geometry; total energy after the MP2020 corrections = -7.105 eV/atom; symmetry = P2_1/c (14)
1.0
-0.4313 -6.1934 9.7304
0.5831 -4.5209 -2.8517
13.2639 -1.0000 -0.0485
P O Cu Rb
12 36 4 4
direct
0.4240 0.5137 0.3508
0.0887 0.4840 0.6294
0.4113 0.4840 0.1294
0.2474 0.2533 0.4913
0.5760 0.4863 0.6492
0.9240 0.4863 0.1492
0.7526 0.7467 0.5087
0.7474 0.7467 0.0087
0.2526 0.2533 0.9913
0.5887 0.5160 0.8706
0.9113 0.5160 0.3706
0.0760 0.5137 0.8508
0.5116 0.3258 0.1093
0.8394 0.9380 0.9696
0.2091 0.3783 0.5867
0.0115 0.6791 0.0993
0.0116 0.6742 0.3907
0.4564 0.7843 0.3291
0.3394 0.0620 0.5304
0.3031 0.4888 0.4156
0.5896 0.2323 0.8997
0.6453 0.8390 0.0625
0.6969 0.5112 0.5844
0.3547 0.1610 0.9375
0.1969 0.4888 0.9156
0.5115 0.3209 0.4007
0.8031 0.5112 0.0844
0.6272 0.5804 0.7511
0.2909 0.3783 0.0867
0.8728 0.5804 0.2511
0.1453 0.1610 0.4375
0.9104 0.2323 0.3997
0.9564 0.2157 0.1709
0.7909 0.6217 0.4133
0.5436 0.2157 0.6709
0.4104 0.7677 0.1003
0.8547 0.8390 0.5625
0.1606 0.0620 0.0304
0.9884 0.3258 0.6093
0.6606 0.9380 0.4696
0.4885 0.6791 0.5993
0.0436 0.7843 0.8291
0.9885 0.3209 0.9007
0.4884 0.6742 0.8907
0.0896 0.7677 0.6003
0.1272 0.4196 0.7489
0.7091 0.6217 0.9133
0.3728 0.4196 0.2489
0.0000 0.0000 0.5000
0.0000 0.0000 0.0000
0.5000 0.0000 0.0000
0.5000 0.0000 0.5000
0.6804 0.0625 0.2465
0.3196 0.9375 0.7535
0.1804 0.9375 0.2535
0.8196 0.0625 0.7465

No. 9
SnHBr3N | Materials Project | PBE | optimized geometry; total energy after the MP2020 corrections = -2.899 eV/atom; symmetry = P2_1/m (11)
1.0
-0.9080 2.4268 2.4758
7.1623 -4.3318 6.8728
6.2371 6.6061 -4.1878
Sn Br H N
2 6 2 2
direct
0.7500 0.1767 0.1482
0.2500 0.8233 0.8518
0.7500 0.3331 0.3603
0.7500 0.0574 0.6904
0.7500 0.6972 0.9964
0.2500 0.6669 0.6397
0.2500 0.3028 0.0036
0.2500 0.9426 0.3096
0.2500 0.0782 0.6571
0.7500 0.9218 0.3429
0.7500 0.4127 0.7626
0.2500 0.5873 0.2374

no.,ΔE_f (kJ/mol of formula units)
1,-739
2,-716
3,-9683
4,-73
5,-88
6,-1415
7,-4948
8,-3243
9,314